The following is a DFT calculation (PBE) of a geometry-optimized LaCrGe3 structure.

Cell lengths 6.217, 6.217, 5.776 Å; angles 90.00, 90.00, 120.00 degrees
Sites, in units of the cell vectors:
La  0.333  0.667  0.250
La  0.667  0.333  0.750
Cr  0.000  0.000  0.000
Cr  0.000  0.000  0.500
Ge  0.191  0.383  0.750
Ge  0.191  0.809  0.750
Ge  0.383  0.191  0.250
Ge  0.617  0.809  0.750
Ge  0.809  0.191  0.250
Ge  0.809  0.617  0.250

Properties
Uncorrected energy (eV for the cell shown): -61.5
SG: P6_3/mmc, No. 194
Energy of formation (eV per atom): -0.458



The following is a DFT calculation (PBE) of a geometry-optimized La6CrGe2S14 structure.

Cell lengths 10.348, 10.348, 5.874 Å; angles 90.00, 90.00, 120.00 degrees
Sites, in units of the cell vectors:
La  0.023  0.563  0.000
La  0.311  0.105  0.499
La  0.437  0.460  0.000
La  0.540  0.977  0.000
La  0.794  0.689  0.499
La  0.895  0.206  0.499
Cr  0.667  0.333  0.768
Ge  0.000  0.000  0.910
Ge  0.333  0.667  0.415
S  0.000  0.000  0.285
S  0.081  0.854  0.762
S  0.146  0.228  0.762
S  0.186  0.440  0.266
S  0.254  0.814  0.266
S  0.333  0.667  0.789
S  0.428  0.179  0.002
S  0.515  0.420  0.537
S  0.560  0.746  0.266
S  0.580  0.095  0.537
S  0.751  0.572  0.002
S  0.772  0.919  0.762
S  0.821  0.249  0.002
S  0.905  0.485  0.537

Properties
Uncorrected energy (eV for the cell shown): -143.2
SG: P3, No. 143
Energy of formation (eV per atom): -1.904



The following is a DFT calculation (PBE) of a geometry-optimized Cr5Ge2N6 structure.

Cell lengths 5.946, 5.946, 10.358 Å; angles 108.40, 108.40, 55.46 degrees
Sites, in units of the cell vectors:
Cr  0.157  0.843  0.750
Cr  0.224  0.340  0.820
Cr  0.318  0.658  0.077
Cr  0.340  0.224  0.320
Cr  0.342  0.682  0.423
Cr  0.658  0.318  0.577
Cr  0.660  0.776  0.680
Cr  0.682  0.342  0.923
Cr  0.776  0.660  0.180
Cr  0.843  0.157  0.250
Ge  0.218  0.276  0.062
Ge  0.276  0.218  0.562
Ge  0.724  0.782  0.438
Ge  0.782  0.724  0.938
N  0.049  0.604  0.357
N  0.056  0.170  0.872
N  0.170  0.056  0.372
N  0.306  0.629  0.889
N  0.371  0.694  0.611
N  0.396  0.951  0.143
N  0.604  0.049  0.857
N  0.629  0.306  0.389
N  0.694  0.371  0.111
N  0.830  0.944  0.628
N  0.944  0.830  0.128
N  0.951  0.396  0.643

Properties
Uncorrected energy (eV for the cell shown): -216.1
SG: C2/c, No. 15
Energy of formation (eV per atom): -0.208